Record 1
Here is a relaxed Na4ZrC8O19 crystal from Materials Project. Energies are from PBE.

Lattice parameters (Å, degrees): 10.700 10.700 12.274 90.00 90.00 137.93
Positions (direct):
O 0.286 0.879 0.662
O 0.138 0.177 0.212
O 0.313 0.948 0.210
O 0.633 0.585 0.374
O 0.070 0.307 0.581
O 0.177 0.138 0.788
O 0.693 0.930 0.919
O 0.970 0.465 0.485
O 0.367 0.415 0.874
O 0.930 0.693 0.081
O 0.390 0.108 0.827
O 0.892 0.610 0.673
O 0.108 0.390 0.173
O 0.121 0.714 0.838
O 0.030 0.535 0.985
O 0.585 0.633 0.626
O 0.307 0.070 0.419
O 0.714 0.121 0.162
O 0.610 0.892 0.327
O 0.017 0.182 0.415
O 0.948 0.313 0.790
O 0.415 0.367 0.126
O 0.182 0.017 0.585
O 0.818 0.983 0.085
O 0.783 0.217 0.750
O 0.535 0.030 0.015
O 0.400 0.615 0.099
O 0.823 0.862 0.288
O 0.983 0.818 0.915
O 0.217 0.783 0.250
O 0.879 0.286 0.338
O 0.600 0.385 0.599
O 0.615 0.400 0.901
O 0.465 0.970 0.515
O 0.052 0.687 0.290
O 0.862 0.823 0.712
O 0.385 0.600 0.401
O 0.687 0.052 0.710
C 0.326 0.280 0.841
C 0.266 0.460 0.140
C 0.460 0.266 0.860
C 0.674 0.720 0.341
C 0.720 0.674 0.659
C 0.280 0.326 0.159
C 0.734 0.540 0.640
C 0.019 0.276 0.484
C 0.540 0.734 0.360
C 0.046 0.646 0.935
C 0.354 0.954 0.565
C 0.981 0.724 0.984
C 0.954 0.354 0.435
C 0.276 0.019 0.516
C 0.646 0.046 0.065
C 0.724 0.981 0.016
Zr 0.891 0.109 0.250
Zr 0.109 0.891 0.750
Na 0.369 0.369 0.500
Na 0.631 0.631 0.000
Na 0.080 0.556 0.658
Na 0.925 0.075 0.750
Na 0.556 0.080 0.342
Na 0.075 0.925 0.250
Na 0.444 0.920 0.842
Na 0.920 0.444 0.158

Properties
- ΔE_f (eV/f.u.) = -43.81
- symmetry = No. 20
- volume (Å³ per cell) = 941.5

Record 2
Here is a relaxed YGa6Fe6 crystal from Materials Project. Energies are from PBE.

Lattice parameters (Å, degrees): 5.156 6.513 6.730 98.72 112.52 66.69
Positions (direct):
Fe 0.284 0.209 0.778
Fe 0.716 0.791 0.222
Fe 0.494 0.791 0.778
Fe 0.000 0.000 0.500
Fe 0.506 0.209 0.222
Fe 0.500 0.000 0.500
Y 0.000 0.000 0.000
Ga 0.500 0.500 0.000
Ga 0.350 0.666 0.365
Ga 0.984 0.666 0.635
Ga 0.000 0.500 0.000
Ga 0.650 0.334 0.635
Ga 0.016 0.334 0.365

Properties
- ΔE_f (eV/f.u.) = -2.20
- symmetry = No. 69
- distance to the lowest polymorph of the same formula (meV per atom) = 151.5
- volume (Å³ per cell) = 191.7

Record 3
Here is a relaxed Rb2LiNdB2O6 crystal from Materials Project. Energies are from PBE.

Lattice parameters (Å, degrees): 7.226 9.851 10.248 90.00 90.00 90.00
Positions (direct):
Nd 0.860 0.264 0.750
Nd 0.140 0.736 0.250
Nd 0.860 0.236 0.250
Nd 0.140 0.764 0.750
Li 0.448 0.347 0.250
Li 0.448 0.153 0.750
Li 0.552 0.847 0.250
Li 0.552 0.653 0.750
O 0.601 0.197 0.893
O 0.601 0.303 0.393
O 0.181 0.299 0.250
O 0.885 0.250 0.500
O 0.819 0.701 0.750
O 0.601 0.303 0.107
O 0.399 0.697 0.607
O 0.115 0.750 0.000
O 0.022 0.995 0.250
O 0.115 0.750 0.500
O 0.308 0.976 0.750
O 0.885 0.250 0.000
O 0.399 0.803 0.393
O 0.692 0.476 0.750
O 0.181 0.201 0.750
O 0.978 0.005 0.750
O 0.978 0.495 0.250
O 0.692 0.024 0.250
O 0.819 0.799 0.250
O 0.308 0.524 0.250
O 0.399 0.803 0.107
O 0.022 0.505 0.750
O 0.399 0.697 0.893
O 0.601 0.197 0.607
B 0.846 0.561 0.750
B 0.691 0.250 0.500
B 0.309 0.750 0.000
B 0.691 0.250 0.000
B 0.154 0.439 0.250
B 0.154 0.061 0.750
B 0.309 0.750 0.500
B 0.846 0.939 0.250
Rb 0.278 0.083 0.443
Rb 0.278 0.417 0.943
Rb 0.722 0.917 0.557
Rb 0.722 0.583 0.443
Rb 0.278 0.417 0.557
Rb 0.722 0.917 0.943
Rb 0.722 0.583 0.057
Rb 0.278 0.083 0.057

Properties
- ΔE_f (eV/f.u.) = -34.20
- symmetry = No. 57
- volume (Å³ per cell) = 729.5

Record 4
Here is a relaxed SmHo3Ni4 crystal from Materials Project. Energies are from PBE.

Lattice parameters (Å, degrees): 4.157 5.398 7.120 89.46 90.00 90.00
Positions (direct):
Ni 0.250 0.628 0.041
Ni 0.750 0.376 0.969
Ni 0.750 0.119 0.459
Ni 0.250 0.875 0.534
Sm 0.250 0.372 0.677
Ho 0.250 0.129 0.179
Ho 0.750 0.632 0.317
Ho 0.750 0.870 0.824

Properties
- ΔE_f (eV/f.u.) = -3.51
- symmetry = No. 6
- volume (Å³ per cell) = 159.8